## SmZnCuAs2 (PBE)

Data for a relaxed structure of SmZnCuAs2.

* formation energy from the elements: -0.67 eV per atom
* crystal system: trigonal
* DFT total energy: -4.553 eV per atom

a = 4.157 Å, b = 4.157 Å, c = 6.793 Å
α = 90.00°, β = 90.00°, γ = 120.00°
Atoms (fractional coordinates):
Sm: 0.333 0.667 0.984
Zn: 0.000 0.000 0.374
Cu: 0.667 0.333 0.641
As: 0.667 0.333 0.257
As: 0.000 0.000 0.743



## SrCu4As2 (PBE)

Data for a relaxed structure of SrCu4As2.

* formation energy from the elements: -0.34 eV per atom
* crystal system: trigonal
* DFT total energy: -4.260 eV per atom

a = 4.199 Å, b = 4.199 Å, c = 8.227 Å
α = 75.21°, β = 75.21°, γ = 60.00°
Atoms (fractional coordinates):
Sr: 0.000 0.000 0.000
Cu: 0.440 0.440 0.680
Cu: 0.144 0.144 0.567
Cu: 0.560 0.560 0.320
Cu: 0.856 0.856 0.433
As: 0.249 0.249 0.254
As: 0.751 0.751 0.746



## TbCuAs2 (PBE)

Data for a relaxed structure of TbCuAs2.

* formation energy from the elements: -0.83 eV per atom
* crystal system: tetragonal
* DFT total energy: -5.340 eV per atom

a = 3.914 Å, b = 3.914 Å, c = 9.923 Å
α = 90.00°, β = 90.00°, γ = 90.00°
Atoms (fractional coordinates):
Tb: 0.000 0.500 0.762
Tb: 0.500 0.000 0.238
Cu: 0.500 0.500 0.500
Cu: 0.000 0.000 0.500
As: 0.000 0.000 0.000
As: 0.500 0.500 0.000
As: 0.000 0.500 0.340
As: 0.500 0.000 0.660



Calculated theoretical density, 7.01, 6.80, 8.13 g/cm³ (same order as the records).